# 1
A relaxed SrGe2Rh2 crystal. Source: the Materials Project database, functional PBE-GGA.

abc: 4.232 4.232 10.944
angles: 90.00 90.00 90.00
Space group I4/mmm (No. 139)
One atom of each set of equivalent atoms:
Sr 0.000 0.000 0.000 (multiplicity 2)
Ge 0.000 0.000 0.368 (multiplicity 4)
Rh 0.000 0.500 0.250 (multiplicity 4)

# 2
A relaxed TbGe3Rh5 crystal. Source: the Materials Project database, functional PBE-GGA.

Output
size of the total moment = 0.02 Bohr magnetons per cell

abc: 22.7574 22.7574 3.9356
angles: 90.00 90.00 120.00
Space group P6_3/m (No. 176)
One atom of each set of equivalent atoms:
Tb 0.0356 0.2654 0.2500 (multiplicity 6)
Tb 0.1405 0.6158 0.2500 (multiplicity 6)
Ge 0.0156 0.5851 0.7500 (multiplicity 6)
Ge 0.0629 0.1739 0.7500 (multiplicity 6)
Ge 0.0823 0.7654 0.2500 (multiplicity 6)
Ge 0.1240 0.3846 0.7500 (multiplicity 6)
Ge 0.1650 0.5266 0.7500 (multiplicity 6)
Ge 0.2209 0.7331 0.7500 (multiplicity 6)
Rh 0.0044 0.3561 0.7500 (multiplicity 6)
Rh 0.0067 0.0891 0.2500 (multiplicity 6)
Rh 0.0422 0.4938 0.7500 (multiplicity 6)
Rh 0.0566 0.8587 0.2500 (multiplicity 6)
Rh 0.1004 0.7057 0.7500 (multiplicity 6)
Rh 0.1057 0.4483 0.2500 (multiplicity 6)
Rh 0.1402 0.8455 0.7500 (multiplicity 6)
Rh 0.2016 0.7932 0.2500 (multiplicity 6)
Rh 0.2497 0.5532 0.2500 (multiplicity 6)
Rh 0.2554 0.6464 0.7500 (multiplicity 6)

# 3
A relaxed Tb3Ge2Rh2 crystal. Source: the Materials Project database, functional PBE-GGA.

abc: 5.622 7.901 13.285
angles: 90.00 90.00 90.00
Space group Pbcm (No. 57)
One atom of each set of equivalent atoms:
Tb 0.134 0.248 0.250 (multiplicity 4)
Tb 0.354 0.607 0.100 (multiplicity 8)
Ge 0.159 0.250 0.000 (multiplicity 4)
Ge 0.367 0.607 0.750 (multiplicity 4)
Rh 0.124 0.539 0.593 (multiplicity 8)

# 4
A relaxed TbGeRh crystal. Source: the Materials Project database, functional PBE-GGA.

abc: 6.957 4.335 7.568
angles: 90.00 90.00 90.00
Space group Pnma (No. 62)
One atom of each set of equivalent atoms:
Tb 0.001 0.250 0.196 (multiplicity 4)
Ge 0.211 0.750 0.395 (multiplicity 4)
Rh 0.156 0.250 0.568 (multiplicity 4)

# 5
A relaxed ThGe2Rh2 crystal. Source: the Materials Project database, functional PBE-GGA.

abc: 4.208 4.208 10.448
angles: 90.00 90.00 90.00
Space group I4/mmm (No. 139)
One atom of each set of equivalent atoms:
Th 0.000 0.000 0.000 (multiplicity 2)
Ge 0.000 0.000 0.378 (multiplicity 4)
Rh 0.000 0.500 0.250 (multiplicity 4)

# 6
A relaxed TiGeRh crystal. Source: the Materials Project database, functional PBE-GGA.

abc: 7.164 11.526 6.694
angles: 90.00 90.00 90.00
Space group Ima2 (No. 46)
One atom of each set of equivalent atoms:
Ti 0.250 0.001 0.000 (multiplicity 4)
Ti 0.250 0.223 0.644 (multiplicity 4)
Ti 0.250 0.695 0.119 (multiplicity 4)
Ge 0.005 0.667 0.420 (multiplicity 8)
Ge 0.250 0.032 0.415 (multiplicity 4)
Rh 0.000 0.000 0.676 (multiplicity 4)
Rh 0.041 0.628 0.789 (multiplicity 8)

# 7
A relaxed Tm5Ge10Rh4 crystal. Source: the Materials Project database, functional PBE-GGA.

abc: 13.012 13.012 4.268
angles: 90.00 90.00 90.00
Space group P4/mbm (No. 127)
One atom of each set of equivalent atoms:
Tm 0.000 0.000 0.000 (multiplicity 2)
Tm 0.113 0.387 0.500 (multiplicity 4)
Tm 0.174 0.674 0.500 (multiplicity 4)
Ge 0.004 0.844 0.500 (multiplicity 8)
Ge 0.067 0.567 0.000 (multiplicity 4)
Ge 0.163 0.200 0.000 (multiplicity 8)
Rh 0.021 0.754 0.000 (multiplicity 8)

# 8
A relaxed Tm3Ge2Rh2 crystal. Source: the Materials Project database, functional PBE-GGA.

Output
size of the total moment = 0.01 Bohr magnetons per cell

abc: 5.544 7.767 13.088
angles: 90.00 90.00 90.00
Space group Pbcm (No. 57)
One atom of each set of equivalent atoms:
Tm 0.127 0.246 0.250 (multiplicity 4)
Tm 0.352 0.606 0.100 (multiplicity 8)
Ge 0.161 0.250 0.000 (multiplicity 4)
Ge 0.379 0.610 0.750 (multiplicity 4)
Rh 0.128 0.540 0.594 (multiplicity 8)

# 9
A relaxed TmGe2Rh2 crystal. Source: the Materials Project database, functional PBE-GGA.

abc: 4.127 4.127 10.291
angles: 90.00 90.00 90.00
Space group I4/mmm (No. 139)
One atom of each set of equivalent atoms:
Tm 0.000 0.000 0.000 (multiplicity 2)
Ge 0.000 0.000 0.379 (multiplicity 4)
Rh 0.000 0.500 0.250 (multiplicity 4)

# 10
A relaxed UGeRh crystal. Source: the Materials Project database, functional PBE-GGA.

abc: 6.406 4.500 7.708
angles: 90.00 90.00 90.00
Space group Pnma (No. 62)
One atom of each set of equivalent atoms:
U 0.011 0.250 0.211 (multiplicity 4)
Ge 0.194 0.250 0.585 (multiplicity 4)
Rh 0.227 0.750 0.420 (multiplicity 4)

# 11
A relaxed Y3Ge13Rh4 crystal. Source: the Materials Project database, functional PBE-GGA.

Output
size of the total moment = 0.04 Bohr magnetons per cell

abc: 9.034 9.034 9.034
angles: 90.00 90.00 90.00
Space group Pm-3n (No. 223)
One atom of each set of equivalent atoms:
Y 0.000 0.250 0.500 (multiplicity 6)
Ge 0.000 0.000 0.000 (multiplicity 2)
Ge 0.000 0.310 0.147 (multiplicity 24)
Rh 0.250 0.250 0.250 (multiplicity 8)

# 12
A relaxed YGe2Rh2 crystal. Source: the Materials Project database, functional PBE-GGA.

abc: 4.148 4.148 10.390
angles: 90.00 90.00 90.00
Space group I4/mmm (No. 139)
One atom of each set of equivalent atoms:
Y 0.000 0.000 0.000 (multiplicity 2)
Ge 0.000 0.000 0.378 (multiplicity 4)
Rh 0.000 0.500 0.250 (multiplicity 4)

# 13
A relaxed YGe2Rh4 crystal. Source: the Materials Project database, functional PBE-GGA.

Output
size of the total moment = 0.00 Bohr magnetons per cell

abc: 11.548 4.233 9.174
angles: 90.00 90.00 90.00
Space group Pnma (No. 62)
One atom of each set of equivalent atoms:
Y 0.175 0.250 0.149 (multiplicity 4)
Ge 0.059 0.750 0.382 (multiplicity 4)
Ge 0.139 0.750 0.914 (multiplicity 4)
Rh 0.002 0.250 0.885 (multiplicity 4)
Rh 0.060 0.750 0.671 (multiplicity 4)
Rh 0.155 0.250 0.497 (multiplicity 4)
Rh 0.231 0.250 0.812 (multiplicity 4)

VASP energy values, unit eV/atom, following the record order: -5.92, -6.84, -6.33, -6.51, -7.15, -7.41, -5.94, -6.28, -6.54, -8.33, -5.99, -6.98, -7.21.
Energy of formation values, unit meV per atom, following the record order: -784, -696, -919, -971, -872, -780, -782, -940, -854, -570, -543, -887, -753.